No. 1
DFT (PBE-GGA) results for a relaxed Pr2MgSe4 crystal.

```
data_Pr2MgSe4
_chemical_formula_sum 'Pr8 Mg4 Se16'
_cell_length_a 13.540
_cell_length_b 4.159
_cell_length_c 14.774
_cell_angle_alpha 90.00
_cell_angle_beta 90.00
_cell_angle_gamma 90.00
_space_group_name_H-M_alt 'P n m a'
_space_group_IT_number 62
_space_group_name_Hall '-P 2ac 2n'
loop_
_atom_site_label
_atom_site_type_symbol
_atom_site_fract_x
_atom_site_fract_y
_atom_site_fract_z
Pr1 Pr 0.119 0.250 0.074
Pr2 Pr 0.136 0.250 0.705
Mg1 Mg 0.107 0.750 0.460
Se1 Se 0.002 0.750 0.613
Se2 Se 0.029 0.250 0.884
Se3 Se 0.225 0.250 0.247
Se4 Se 0.233 0.250 0.514
```

Summary:
The value obtained for the uncorrected energy is -5.20 eV per atom. The energy with MP2020 corrections is -5.47 eV per atom. Its offset from the most stable computed form is 57 meV per atom. As for the total moment: 0.0 Bohr magnetons per cell. For the calculated formation energy, the calculation gives -1.874 eV per atom.

No. 2
DFT (PBE-GGA) results for a relaxed BaSm2PdO5 crystal.

```
data_BaSm2PdO5
_chemical_formula_sum 'Ba2 Sm4 Pd2 O10'
_cell_length_a 6.728
_cell_length_b 6.728
_cell_length_c 5.962
_cell_angle_alpha 90.00
_cell_angle_beta 90.00
_cell_angle_gamma 90.00
_space_group_name_H-M_alt 'P 4/m b m'
_space_group_IT_number 127
_space_group_name_Hall '-P 4 2ab'
loop_
_atom_site_label
_atom_site_type_symbol
_atom_site_fract_x
_atom_site_fract_y
_atom_site_fract_z
Ba1 Ba 0.000 0.000 0.000
Sm1 Sm 0.174 0.326 0.500
Pd1 Pd 0.000 0.500 0.000
O1 O 0.000 0.000 0.500
O2 O 0.140 0.640 0.255
```

Summary:
The value obtained for the uncorrected energy is -7.21 eV per atom. The energy with MP2020 corrections is -7.60 eV per atom. As for the total moment: 0.0 Bohr magnetons per cell. For the calculated formation energy, the calculation gives -3.009 eV per atom.